# SrMgNiH4 (PBE-GGA, optimized geometry)
data_SrMgNiH4
_cell_length_a 6.920
_cell_length_b 6.920
_cell_length_c 6.920
_cell_angle_alpha 90.00
_cell_angle_beta 90.00
_cell_angle_gamma 90.00
_space_group_name_H-M_alt 'P 1'
_space_group_IT_number 1
loop_
_space_group_symop_operation_xyz
'x,y,z'
loop_
_atom_site_label
_atom_site_type_symbol
_atom_site_fract_x
_atom_site_fract_y
_atom_site_fract_z
H1 H 0.044 0.581 0.235
H2 H 0.419 0.735 0.456
H3 H 0.456 0.419 0.735
H4 H 0.735 0.456 0.419
H5 H 0.544 0.919 0.765
H6 H 0.574 0.074 0.426
H7 H 0.581 0.235 0.044
H8 H 0.426 0.574 0.074
H9 H 0.074 0.426 0.574
H10 H 0.926 0.926 0.926
H11 H 0.265 0.956 0.081
H12 H 0.081 0.265 0.956
H13 H 0.919 0.765 0.544
H14 H 0.235 0.044 0.581
H15 H 0.956 0.081 0.265
H16 H 0.765 0.544 0.919
Ni1 Ni 0.060 0.060 0.060
Ni2 Ni 0.940 0.560 0.440
Ni3 Ni 0.560 0.440 0.940
Ni4 Ni 0.440 0.940 0.560
Sr1 Sr 0.162 0.662 0.838
Sr2 Sr 0.338 0.338 0.338
Sr3 Sr 0.662 0.838 0.162
Sr4 Sr 0.838 0.162 0.662
Mg1 Mg 0.152 0.848 0.348
Mg2 Mg 0.652 0.652 0.652
Mg3 Mg 0.848 0.348 0.152
Mg4 Mg 0.348 0.152 0.848
# Calculated volume, A^3/atom: 11.83
# Symmetry: P2_13, No. 198
# Total moment, Bohr magnetons per cell: 0.0
# Total energy after the MP2020 corrections, Ry per atom: -0.2760